Compound: LiPdN
Source: the Materials Project
Functional: GGA-PBE
Structure: relaxed

**Magnetic moment**: 0.0 μB/f.u.
**Energy of formation from the pure elements**: 0.05 eV per atom

abc: 4.2545 3.0086 4.0029
angles: 90.00 90.00 135.00
Fractional positions:
Li1 0.6115 0.2230 0.0000
N1 0.6109 0.2218 0.5000
Pd1 0.1110 0.2220 0.5000



Compound: Sm2Co17N3
Source: the Materials Project
Functional: GGA-PBE
Structure: relaxed

**Magnetic moment**: 24.6 μB/f.u.
**Energy of formation from the pure elements**: -0.19 eV per atom

abc: 6.3846 6.3846 6.3846
angles: 83.68 83.68 83.68
Fractional positions:
Sm1 0.3423 0.3423 0.3423
Co1 0.0000 0.7194 0.2806
Co2 0.1354 0.6565 0.6565
Co3 0.2806 0.7194 0.0000
Sm2 0.6577 0.6577 0.6577
Co4 0.7194 0.2806 0.0000
Co5 0.3435 0.3435 0.8646
Co6 0.6565 0.1354 0.6565
Co7 0.0961 0.0961 0.0961
N1 0.0000 0.5000 0.5000
Co8 0.8646 0.3435 0.3435
Co9 0.0000 0.5000 0.0000
Co10 0.0000 0.0000 0.5000
Co11 0.5000 0.0000 0.0000
N2 0.5000 0.0000 0.5000
Co12 0.6565 0.6565 0.1354
Co13 0.9039 0.9039 0.9039
Co14 0.2806 0.0000 0.7194
Co15 0.3435 0.8646 0.3435
Co16 0.0000 0.2806 0.7194
N3 0.5000 0.5000 0.0000
Co17 0.7194 0.0000 0.2806